Density functional theory data (PBE) for crystalline Li2AgF3 at its relaxed geometry.

**Space-group type**: No. 62
**MP2020-corrected energy**: -107.64 eV per cell
**ΔH_f (0 K)**: -2419 meV/atom
**M_tot**: 0.0 μB/f.u.

```
24
Lattice="7.196 0.000 0.000 0.000 2.874 0.000 0.000 0.000 14.706" Properties=species:S:1:pos:R:3 pbc="T T T"
Li 0.414 0.718 2.462
Li 1.148 2.155 14.617
Li 2.450 0.718 7.265
Li 3.184 2.155 9.815
Li 4.012 0.718 4.890
Li 4.746 2.155 7.441
Li 6.048 0.718 0.088
Li 6.783 2.155 12.243
Ag 0.194 2.155 5.524
Ag 3.404 0.718 12.876
Ag 3.792 2.155 1.829
Ag 7.002 0.718 9.182
F 0.283 0.718 13.488
F 1.058 2.155 3.535
F 1.275 2.155 7.872
F 2.323 0.718 0.519
F 2.540 0.718 10.888
F 3.315 2.155 6.135
F 3.881 0.718 8.571
F 4.656 2.155 3.817
F 4.873 2.155 14.187
F 5.921 0.718 6.834
F 6.138 0.718 11.170
F 6.914 2.155 1.218
```



Density functional theory data (PBE) for crystalline TmB4Rh at its relaxed geometry.

**Space-group type**: No. 55
**ΔH_f (0 K)**: -629 meV/atom

```
24
Lattice="5.931 0.000 0.000 0.000 11.507 0.000 0.000 0.000 3.544" Properties=species:S:1:pos:R:3 pbc="T T T"
Tm 0.781 1.713 0.000
Tm 2.184 7.466 0.000
Tm 3.747 4.040 0.000
Tm 5.150 9.794 0.000
B 0.128 7.977 1.772
B 0.670 6.300 1.772
B 0.803 11.157 1.772
B 1.236 9.351 1.772
B 1.729 3.597 1.772
B 2.162 5.404 1.772
B 2.295 0.547 1.772
B 2.838 2.224 1.772
B 3.093 9.283 1.772
B 3.636 10.960 1.772
B 3.769 6.103 1.772
B 4.202 7.909 1.772
B 4.695 2.156 1.772
B 5.128 0.350 1.772
B 5.261 5.207 1.772
B 5.804 3.530 1.772
Rh 0.849 4.662 0.000
Rh 2.116 10.415 0.000
Rh 3.815 1.091 0.000
Rh 5.082 6.845 0.000
```



Density functional theory data (PBE) for crystalline CaMgSiO4 at its relaxed geometry.

**Space-group type**: No. 62
**MP2020-corrected energy**: -207.90 eV per cell
**ΔH_f (0 K)**: -3307 meV/atom
**M_tot**: 0.0 μB/f.u.

```
28
Lattice="9.135 0.000 0.000 0.000 6.870 0.000 0.000 0.000 5.241" Properties=species:S:1:pos:R:3 pbc="T T T"
Ca 1.370 1.717 0.189
Ca 3.197 5.152 2.809
Ca 5.937 1.717 2.431
Ca 7.765 5.152 5.052
Mg 0.000 0.000 2.620
Mg 0.000 3.435 2.620
Mg 4.567 0.000 0.000
Mg 4.567 3.435 0.000
Si 1.670 5.152 0.224
Si 2.897 1.717 2.844
Si 6.238 5.152 2.397
Si 7.464 1.717 5.017
O 1.060 5.152 3.927
O 1.150 3.834 1.044
O 1.150 6.470 1.044
O 1.241 1.717 2.943
O 3.326 5.152 0.323
O 3.417 0.400 3.665
O 3.417 3.035 3.665
O 3.507 1.717 1.307
O 5.627 5.152 3.934
O 5.717 3.834 1.576
O 5.717 6.470 1.576
O 5.809 1.717 4.918
O 7.894 5.152 2.297
O 7.985 0.400 4.197
O 7.985 3.035 4.197
O 8.075 1.717 1.313
```



Density functional theory data (PBE) for crystalline UIr at its relaxed geometry.

**Space-group type**: No. 4
**ΔH_f (0 K)**: -497 meV/atom
**M_tot**: 1.7 μB/f.u.

```
16
Lattice="5.598 0.000 0.000 0.000 10.630 0.000 -0.819 0.000 5.554" Properties=species:S:1:pos:R:3 pbc="T T T"
U 0.439 0.000 0.795
U 0.357 8.184 3.403
U 1.598 5.346 2.198
U 1.513 2.911 4.825
U 3.266 8.226 0.729
U 3.181 0.031 3.357
U 4.422 2.869 2.151
U 4.339 5.315 4.759
Ir 0.481 7.828 0.595
Ir 0.364 0.351 3.615
Ir 1.645 2.528 2.007
Ir 1.530 5.694 5.006
Ir 3.249 0.379 0.548
Ir 3.134 7.843 3.547
Ir 4.414 5.666 1.939
Ir 4.297 2.513 4.959
```